Entry one
First-principles (PBE) data for an optimized crystal structure of BaAsHO4, as listed in Materials Project.

a = 7.376 Å, b = 7.854 Å, c = 22.203 Å
α = 90.00°, β = 96.09°, γ = 90.00°
Element x y z (fractional)
Ba1 0.846 0.826 0.003
Ba2 0.154 0.326 0.997
Ba3 0.560 0.504 0.168
Ba4 0.440 0.004 0.832
Ba5 0.261 0.032 0.178
Ba6 0.739 0.532 0.822
Ba7 0.000 0.321 0.313
Ba8 0.000 0.821 0.687
Ba9 0.724 0.830 0.330
Ba10 0.276 0.330 0.670
Ba11 0.644 0.235 0.482
Ba12 0.356 0.735 0.518
As1 0.332 0.843 0.007
As2 0.668 0.343 0.993
As3 0.048 0.496 0.145
As4 0.952 0.996 0.855
As5 0.759 0.013 0.187
As6 0.241 0.513 0.813
As7 0.514 0.331 0.322
As8 0.486 0.831 0.678
As9 0.230 0.803 0.337
As10 0.770 0.303 0.663
As11 0.157 0.245 0.498
As12 0.843 0.745 0.502
H1 0.501 0.611 0.047
H2 0.499 0.111 0.953
H3 0.143 0.666 0.227
H4 0.857 0.166 0.773
H5 0.842 0.099 0.093
H6 0.158 0.599 0.907
H7 0.390 0.525 0.389
H8 0.610 0.025 0.611
H9 0.179 0.012 0.409
H10 0.821 0.512 0.591
H11 0.022 0.031 0.553
H12 0.978 0.531 0.447
O1 0.226 0.990 0.047
O2 0.774 0.490 0.953
O3 0.817 0.193 0.025
O4 0.183 0.693 0.975
O5 0.522 0.424 0.041
O6 0.478 0.924 0.959
O7 0.488 0.736 0.062
O8 0.512 0.236 0.938
O9 0.924 0.578 0.084
O10 0.076 0.078 0.916
O11 0.919 0.417 0.197
O12 0.081 0.917 0.803
O13 0.212 0.360 0.124
O14 0.788 0.860 0.876
O15 0.182 0.665 0.185
O16 0.818 0.165 0.815
O17 0.597 0.167 0.174
O18 0.403 0.667 0.826
O19 0.654 0.825 0.201
O20 0.346 0.325 0.799
O21 0.929 0.043 0.245
O22 0.071 0.543 0.755
O23 0.880 0.002 0.121
O24 0.120 0.502 0.879
O25 0.336 0.291 0.269
O26 0.664 0.791 0.731
O27 0.654 0.170 0.351
O28 0.346 0.670 0.649
O29 0.648 0.493 0.301
O30 0.352 0.993 0.699
O31 0.411 0.393 0.389
O32 0.589 0.893 0.611
O33 0.365 0.881 0.286
O34 0.635 0.381 0.714
O35 0.064 0.671 0.305
O36 0.936 0.171 0.695
O37 0.368 0.713 0.396
O38 0.632 0.213 0.604
O39 0.109 0.975 0.369
O40 0.891 0.475 0.631
O41 0.706 0.897 0.468
O42 0.294 0.397 0.532
O43 0.007 0.824 0.556
O44 0.993 0.324 0.444
O45 0.282 0.078 0.473
O46 0.718 0.578 0.527
O47 0.031 0.161 0.556
O48 0.969 0.661 0.444

Entry two
First-principles (PBE) data for an optimized crystal structure of BaAsHO4, as listed in Materials Project.

a = 8.715 Å, b = 10.096 Å, c = 19.799 Å
α = 90.00°, β = 90.00°, γ = 90.00°
Element x y z (fractional)
Ba1 0.367 0.683 0.382
Ba2 0.867 0.817 0.618
Ba3 0.633 0.183 0.118
Ba4 0.133 0.317 0.882
Ba5 0.633 0.317 0.618
Ba6 0.133 0.183 0.382
Ba7 0.367 0.817 0.882
Ba8 0.867 0.683 0.118
Ba9 0.624 0.322 0.374
Ba10 0.124 0.178 0.626
Ba11 0.376 0.822 0.126
Ba12 0.876 0.678 0.874
Ba13 0.376 0.678 0.626
Ba14 0.876 0.822 0.374
Ba15 0.624 0.178 0.874
Ba16 0.124 0.322 0.126
As1 0.020 0.479 0.293
As2 0.520 0.021 0.707
As3 0.980 0.979 0.207
As4 0.480 0.521 0.793
As5 0.980 0.521 0.707
As6 0.480 0.979 0.293
As7 0.020 0.021 0.793
As8 0.520 0.479 0.207
As9 0.745 0.076 0.496
As10 0.245 0.424 0.504
As11 0.255 0.576 0.004
As12 0.755 0.924 0.996
As13 0.255 0.924 0.504
As14 0.755 0.576 0.496
As15 0.745 0.424 0.996
As16 0.245 0.076 0.004
H1 0.287 0.424 0.280
H2 0.787 0.076 0.720
H3 0.713 0.924 0.220
H4 0.213 0.576 0.780
H5 0.713 0.576 0.720
H6 0.213 0.924 0.280
H7 0.287 0.076 0.780
H8 0.787 0.424 0.220
H9 0.583 0.884 0.500
H10 0.083 0.616 0.500
H11 0.417 0.384 0.000
H12 0.917 0.116 0.000
H13 0.417 0.116 0.500
H14 0.917 0.384 0.500
H15 0.583 0.616 0.000
H16 0.083 0.884 0.000
O1 0.918 0.379 0.346
O2 0.418 0.121 0.654
O3 0.082 0.879 0.154
O4 0.582 0.621 0.846
O5 0.082 0.621 0.654
O6 0.582 0.879 0.346
O7 0.918 0.121 0.846
O8 0.418 0.379 0.154
O9 0.938 0.494 0.214
O10 0.438 0.006 0.786
O11 0.062 0.994 0.286
O12 0.562 0.506 0.714
O13 0.062 0.506 0.786
O14 0.562 0.994 0.214
O15 0.938 0.006 0.714
O16 0.438 0.494 0.286
O17 0.182 0.375 0.275
O18 0.682 0.125 0.725
O19 0.818 0.875 0.225
O20 0.318 0.625 0.775
O21 0.818 0.625 0.725
O22 0.318 0.875 0.275
O23 0.182 0.125 0.775
O24 0.682 0.375 0.225
O25 0.076 0.626 0.326
O26 0.576 0.874 0.674
O27 0.924 0.126 0.174
O28 0.424 0.374 0.826
O29 0.924 0.374 0.674
O30 0.424 0.126 0.326
O31 0.076 0.874 0.826
O32 0.576 0.626 0.174
O33 0.700 0.903 0.499
O34 0.200 0.597 0.501
O35 0.300 0.403 0.001
O36 0.800 0.097 0.999
O37 0.300 0.097 0.501
O38 0.800 0.403 0.499
O39 0.700 0.597 0.999
O40 0.200 0.903 0.001
O41 0.843 0.102 0.569
O42 0.343 0.398 0.431
O43 0.157 0.602 0.931
O44 0.657 0.898 0.069
O45 0.157 0.898 0.431
O46 0.657 0.602 0.569
O47 0.843 0.398 0.069
O48 0.343 0.102 0.931
O49 0.844 0.095 0.422
O50 0.344 0.405 0.578
O51 0.156 0.595 0.078
O52 0.656 0.905 0.922
O53 0.156 0.905 0.578
O54 0.656 0.595 0.422
O55 0.844 0.405 0.922
O56 0.344 0.095 0.078
O57 0.580 0.169 0.494
O58 0.080 0.331 0.506
O59 0.420 0.669 0.006
O60 0.920 0.831 0.994
O61 0.420 0.831 0.506
O62 0.920 0.669 0.494
O63 0.580 0.331 0.994
O64 0.080 0.169 0.006

How far above the most stable structure does each one sit? In meV/atom: entry one 8; entry two 0.

Entry one
First-principles (PBE) data for an optimized crystal structure of Ba3LiAs2O8, as listed in Materials Project.

a = 7.918 Å, b = 8.873 Å, c = 7.900 Å
α = 43.02°, β = 42.18°, γ = 43.04°
Element x y z (fractional)
Ba1 0.774 0.861 0.776
Ba2 0.194 0.248 0.196
Ba3 0.031 0.896 0.039
Li1 0.867 0.418 0.862
As1 0.619 0.557 0.621
As2 0.403 0.420 0.400
O1 0.658 0.732 0.651
O2 0.299 0.392 0.298
O3 0.747 0.687 0.258
O4 0.727 0.227 0.732
O5 0.257 0.693 0.743
O6 0.290 0.722 0.286
O7 0.255 0.278 0.760
O8 0.761 0.277 0.253

Entry two
First-principles (PBE) data for an optimized crystal structure of Ba3LiAs2O8, as listed in Materials Project.

a = 8.331 Å, b = 8.331 Å, c = 8.331 Å
α = 41.43°, β = 41.43°, γ = 41.43°
Element x y z (fractional)
Ba1 0.792 0.792 0.792
Ba2 0.208 0.208 0.208
Ba3 0.000 0.000 0.000
Li1 0.500 0.500 0.500
As1 0.602 0.602 0.602
As2 0.398 0.398 0.398
O1 0.679 0.679 0.679
O2 0.321 0.321 0.321
O3 0.722 0.722 0.254
O4 0.722 0.254 0.722
O5 0.254 0.722 0.722
O6 0.278 0.746 0.278
O7 0.278 0.278 0.746
O8 0.746 0.278 0.278

How far above the most stable structure does each one sit? In meV/atom: entry one 0; entry two 23.

Entry one
First-principles (PBE) data for an optimized crystal structure of Ba3LiAs2O8, as listed in Materials Project.

a = 9.621 Å, b = 9.621 Å, c = 7.623 Å
α = 37.60°, β = 37.60°, γ = 35.65°
Element x y z (fractional)
Ba1 0.668 0.668 0.014
Ba2 0.332 0.332 0.986
Ba3 0.000 0.000 0.000
Li1 0.000 0.000 0.500
As1 0.665 0.665 0.454
As2 0.335 0.335 0.546
O1 0.670 0.670 0.676
O2 0.330 0.330 0.324
O3 0.825 0.825 0.035
O4 0.825 0.343 0.523
O5 0.343 0.825 0.523
O6 0.175 0.657 0.477
O7 0.175 0.175 0.965
O8 0.657 0.175 0.477

Entry two
First-principles (PBE) data for an optimized crystal structure of Ba3LiAs2O8, as listed in Materials Project.

a = 7.846 Å, b = 7.688 Å, c = 7.846 Å
α = 46.16°, β = 47.51°, γ = 46.16°
Element x y z (fractional)
Ba1 0.801 0.792 0.790
Ba2 0.210 0.208 0.199
Ba3 0.919 0.000 0.081
Li1 0.384 0.000 0.616
As1 0.581 0.582 0.578
As2 0.422 0.418 0.419
O1 0.694 0.681 0.621
O2 0.379 0.319 0.306
O3 0.737 0.702 0.239
O4 0.682 0.236 0.776
O5 0.247 0.802 0.687
O6 0.224 0.764 0.318
O7 0.313 0.198 0.753
O8 0.761 0.298 0.263

Entry three
First-principles (PBE) data for an optimized crystal structure of Ba3LiAs2O8, as listed in Materials Project.

a = 8.676 Å, b = 8.676 Å, c = 8.676 Å
α = 39.53°, β = 39.53°, γ = 39.53°
Element x y z (fractional)
Ba1 0.787 0.787 0.787
Ba2 0.221 0.221 0.221
Ba3 0.987 0.987 0.987
Li1 0.102 0.102 0.102
As1 0.596 0.596 0.596
As2 0.404 0.404 0.404
O1 0.668 0.668 0.668
O2 0.323 0.323 0.323
O3 0.730 0.730 0.251
O4 0.730 0.251 0.730
O5 0.251 0.730 0.730
O6 0.277 0.758 0.277
O7 0.277 0.277 0.758
O8 0.758 0.277 0.277

How far above the most stable structure does each one sit? In meV/atom: entry one 0; entry two 27; entry three 67.

Entry one
First-principles (PBE) data for an optimized crystal structure of Ca3BiAs, as listed in Materials Project.

a = 5.840 Å, b = 5.840 Å, c = 5.840 Å
α = 90.00°, β = 90.00°, γ = 90.00°
Element x y z (fractional)
Ca1 0.000 0.500 0.500
Ca2 0.500 0.000 0.500
Ca3 0.500 0.500 0.000
Bi1 0.500 0.500 0.500
As1 0.000 0.000 0.000

Entry two
First-principles (PBE) data for an optimized crystal structure of Ca3BiAs, as listed in Materials Project.

a = 5.530 Å, b = 5.530 Å, c = 5.530 Å
α = 90.00°, β = 90.00°, γ = 90.00°
Element x y z (fractional)
Ca1 0.000 0.500 0.500
Ca2 0.500 0.000 0.500
Ca3 0.500 0.500 0.000
Bi1 0.000 0.000 0.000
As1 0.500 0.500 0.500

How far above the most stable structure does each one sit? In meV/atom: entry one 621; entry two 0.